# 1
{
  "formula": "MgB4O7",
  "functional": "r2SCAN",
  "state": "optimized geometry",
  "cell": [[7.952, 0.000, 0.000], [0.000, 8.600, 0.000], [0.000, 0.000, 13.755]],
  "species": ["B", "B", "B", "B", "B", "B", "B", "B", "B", "B", "B", "B", "B", "B", "B", "B", "B", "B", "B", "B", "B", "B", "B", "B", "B", "B", "B", "B", "B", "B", "B", "B", "Mg", "Mg", "Mg", "Mg", "Mg", "Mg", "Mg", "Mg", "O", "O", "O", "O", "O", "O", "O", "O", "O", "O", "O", "O", "O", "O", "O", "O", "O", "O", "O", "O", "O", "O", "O", "O", "O", "O", "O", "O", "O", "O", "O", "O", "O", "O", "O", "O", "O", "O", "O", "O", "O", "O", "O", "O", "O", "O", "O", "O", "O", "O", "O", "O", "O", "O", "O", "O"],
  "fractional_positions": [[0.821, 0.870, 0.535], [0.543, 0.166, 0.736], [0.434, 0.204, 0.567], [0.934, 0.204, 0.933], [0.520, 0.573, 0.334], [0.179, 0.130, 0.465], [0.179, 0.370, 0.965], [0.321, 0.630, 0.465], [0.566, 0.704, 0.933], [0.957, 0.666, 0.736], [0.679, 0.130, 0.035], [0.434, 0.296, 0.067], [0.934, 0.296, 0.433], [0.020, 0.927, 0.666], [0.457, 0.834, 0.264], [0.066, 0.704, 0.567], [0.980, 0.427, 0.834], [0.480, 0.073, 0.166], [0.321, 0.870, 0.965], [0.480, 0.427, 0.666], [0.043, 0.166, 0.764], [0.543, 0.334, 0.236], [0.980, 0.073, 0.334], [0.020, 0.573, 0.166], [0.957, 0.834, 0.236], [0.066, 0.796, 0.067], [0.566, 0.796, 0.433], [0.457, 0.666, 0.764], [0.679, 0.370, 0.535], [0.821, 0.630, 0.035], [0.520, 0.927, 0.834], [0.043, 0.334, 0.264], [0.116, 0.400, 0.612], [0.384, 0.600, 0.112], [0.884, 0.900, 0.888], [0.616, 0.400, 0.888], [0.116, 0.100, 0.112], [0.616, 0.100, 0.388], [0.384, 0.900, 0.612], [0.884, 0.600, 0.388], [0.401, 0.570, 0.694], [0.004, 0.896, 0.147], [0.671, 0.901, 0.489], [0.032, 0.324, 0.747], [0.996, 0.104, 0.853], [0.532, 0.324, 0.753], [0.532, 0.176, 0.253], [0.496, 0.104, 0.647], [0.496, 0.396, 0.147], [0.599, 0.430, 0.306], [0.032, 0.176, 0.247], [0.599, 0.070, 0.806], [0.968, 0.676, 0.253], [0.468, 0.824, 0.747], [0.867, 0.957, 0.611], [0.857, 0.160, 0.392], [0.143, 0.840, 0.608], [0.579, 0.247, 0.503], [0.996, 0.396, 0.353], [0.079, 0.253, 0.497], [0.421, 0.747, 0.997], [0.401, 0.930, 0.194], [0.921, 0.753, 0.003], [0.357, 0.340, 0.608], [0.357, 0.160, 0.108], [0.901, 0.930, 0.306], [0.671, 0.599, 0.989], [0.921, 0.747, 0.503], [0.079, 0.247, 0.997], [0.329, 0.099, 0.511], [0.329, 0.401, 0.011], [0.421, 0.753, 0.497], [0.143, 0.660, 0.108], [0.829, 0.401, 0.489], [0.643, 0.660, 0.392], [0.901, 0.570, 0.806], [0.633, 0.457, 0.611], [0.633, 0.043, 0.111], [0.099, 0.070, 0.694], [0.867, 0.543, 0.111], [0.367, 0.957, 0.889], [0.468, 0.676, 0.247], [0.004, 0.604, 0.647], [0.133, 0.043, 0.389], [0.504, 0.604, 0.853], [0.857, 0.340, 0.892], [0.367, 0.543, 0.389], [0.504, 0.896, 0.353], [0.171, 0.599, 0.511], [0.643, 0.840, 0.892], [0.829, 0.099, 0.989], [0.171, 0.901, 0.011], [0.579, 0.253, 0.003], [0.099, 0.430, 0.194], [0.133, 0.457, 0.889], [0.968, 0.824, 0.753]],
  "spacegroup": "Pbca, No. 61",
  "energy_ev_per_atom": -8.987
}

# 2
{
  "formula": "Mg5SnB2O10",
  "functional": "r2SCAN",
  "state": "optimized geometry",
  "cell": [[3.057, 9.353, 0.005], [-3.057, 9.353, 0.005], [0.000, 9.345, 12.380]],
  "species": ["Mg", "Mg", "Mg", "Mg", "Mg", "Mg", "Mg", "Mg", "Mg", "Mg", "Mg", "Mg", "Mg", "Mg", "Mg", "Mg", "Mg", "Mg", "Mg", "Mg", "O", "O", "O", "O", "O", "O", "O", "O", "O", "O", "O", "O", "O", "O", "O", "O", "O", "O", "O", "O", "O", "O", "O", "O", "O", "O", "O", "O", "O", "O", "O", "O", "O", "O", "O", "O", "O", "O", "O", "O", "B", "B", "B", "B", "B", "B", "B", "B", "Sn", "Sn", "Sn", "Sn"],
  "fractional_positions": [[0.239, 0.761, 0.000], [0.058, 0.058, 0.621], [0.942, 0.942, 0.379], [0.245, 0.245, 0.500], [0.755, 0.755, 0.500], [0.243, 0.243, 0.002], [0.761, 0.239, 0.000], [0.757, 0.757, 0.998], [0.103, 0.612, 0.282], [0.823, 0.823, 0.117], [0.114, 0.608, 0.782], [0.759, 0.241, 0.500], [0.177, 0.177, 0.883], [0.392, 0.886, 0.218], [0.612, 0.103, 0.282], [0.608, 0.114, 0.782], [0.241, 0.759, 0.500], [0.388, 0.897, 0.718], [0.897, 0.388, 0.718], [0.886, 0.392, 0.218], [0.510, 0.026, 0.077], [0.490, 0.974, 0.923], [0.447, 0.447, 0.956], [0.383, 0.383, 0.859], [0.553, 0.553, 0.044], [0.413, 0.897, 0.577], [0.307, 0.307, 0.737], [0.542, 0.542, 0.765], [0.096, 0.096, 0.457], [0.026, 0.510, 0.077], [0.243, 0.243, 0.641], [0.727, 0.233, 0.643], [0.757, 0.757, 0.359], [0.587, 0.103, 0.423], [0.257, 0.257, 0.356], [0.947, 0.947, 0.957], [0.743, 0.743, 0.644], [0.130, 0.623, 0.143], [0.617, 0.617, 0.141], [0.809, 0.809, 0.735], [0.053, 0.053, 0.043], [0.767, 0.273, 0.357], [0.233, 0.727, 0.643], [0.458, 0.458, 0.235], [0.623, 0.130, 0.143], [0.046, 0.046, 0.763], [0.888, 0.888, 0.855], [0.870, 0.377, 0.857], [0.897, 0.413, 0.577], [0.974, 0.490, 0.923], [0.954, 0.954, 0.237], [0.103, 0.587, 0.423], [0.904, 0.904, 0.543], [0.377, 0.870, 0.857], [0.596, 0.596, 0.455], [0.191, 0.191, 0.265], [0.404, 0.404, 0.545], [0.693, 0.693, 0.263], [0.273, 0.767, 0.357], [0.112, 0.112, 0.145], [0.819, 0.819, 0.638], [0.316, 0.316, 0.642], [0.455, 0.455, 0.861], [0.545, 0.545, 0.139], [0.684, 0.684, 0.358], [0.960, 0.960, 0.859], [0.040, 0.040, 0.141], [0.181, 0.181, 0.362], [0.322, 0.322, 0.116], [0.678, 0.678, 0.884], [0.437, 0.437, 0.387], [0.563, 0.563, 0.613]],
  "spacegroup": "C2/m, No. 12",
  "energy_ev_per_atom": -9.441
}

# 3
{
  "formula": "MgB4Os3",
  "functional": "r2SCAN",
  "state": "optimized geometry",
  "cell": [[2.913, 0.000, 0.000], [-1.456, 5.933, 0.000], [0.000, 0.000, 9.754]],
  "species": ["B", "B", "B", "B", "B", "B", "B", "B", "Os", "Os", "Os", "Os", "Os", "Os", "Mg", "Mg"],
  "fractional_positions": [[0.377, 0.754, 0.750], [0.159, 0.318, 0.890], [0.841, 0.682, 0.390], [0.346, 0.692, 0.250], [0.654, 0.308, 0.750], [0.841, 0.682, 0.110], [0.623, 0.246, 0.250], [0.159, 0.318, 0.610], [0.200, 0.400, 0.107], [0.800, 0.600, 0.893], [0.016, 0.032, 0.750], [0.800, 0.600, 0.607], [0.200, 0.400, 0.393], [0.984, 0.968, 0.250], [0.500, 0.000, 0.000], [0.500, 0.000, 0.500]],
  "spacegroup": "Cmcm, No. 63",
  "energy_ev_per_atom": -24.330
}

# 4
{
  "formula": "Mg8BPt4",
  "functional": "r2SCAN",
  "state": "optimized geometry",
  "cell": [[-5.483, 0.924, 6.638], [-3.111, 7.832, 1.988], [-8.325, 1.857, -1.488]],
  "species": ["Pt", "Pt", "Pt", "Pt", "Pt", "Pt", "Pt", "Pt", "Mg", "Mg", "Mg", "Mg", "Mg", "Mg", "Mg", "Mg", "Mg", "Mg", "Mg", "Mg", "Mg", "Mg", "Mg", "Mg", "B", "B"],
  "fractional_positions": [[0.401, 0.401, 0.401], [0.798, 0.401, 0.401], [0.401, 0.401, 0.798], [0.452, 0.849, 0.849], [0.849, 0.452, 0.849], [0.401, 0.798, 0.401], [0.849, 0.849, 0.452], [0.849, 0.849, 0.849], [0.625, 0.625, 0.625], [0.200, 0.800, 0.200], [0.050, 0.450, 0.050], [0.625, 0.625, 0.125], [0.800, 0.200, 0.800], [0.800, 0.200, 0.200], [0.050, 0.450, 0.450], [0.450, 0.050, 0.450], [0.450, 0.050, 0.050], [0.125, 0.625, 0.625], [0.800, 0.800, 0.200], [0.200, 0.800, 0.800], [0.050, 0.050, 0.450], [0.625, 0.125, 0.625], [0.200, 0.200, 0.800], [0.450, 0.450, 0.050], [0.500, 0.500, 0.500], [0.750, 0.750, 0.750]],
  "spacegroup": "Fd-3m, No. 227",
  "energy_ev_per_atom": -19.676
}

# 5
{
  "formula": "MgSi2B12",
  "functional": "r2SCAN",
  "state": "optimized geometry",
  "cell": [[6.113, 0.000, 0.000], [0.000, 8.377, 0.000], [0.000, 0.000, 11.000]],
  "species": ["B", "B", "B", "B", "B", "B", "B", "B", "B", "B", "B", "B", "B", "B", "B", "B", "B", "B", "B", "B", "B", "B", "B", "B", "B", "B", "B", "B", "B", "B", "B", "B", "B", "B", "B", "B", "B", "B", "B", "B", "B", "B", "B", "B", "B", "B", "B", "B", "Si", "Si", "Si", "Si", "Si", "Si", "Si", "Si", "Mg", "Mg", "Mg", "Mg"],
  "fractional_positions": [[0.250, 0.443, 0.903], [0.091, 0.667, 0.713], [0.092, 0.334, 0.792], [0.092, 0.166, 0.292], [0.409, 0.667, 0.713], [0.750, 0.055, 0.899], [0.750, 0.557, 0.097], [0.750, 0.851, 0.847], [0.983, 0.970, 0.827], [0.985, 0.467, 0.169], [0.909, 0.167, 0.787], [0.592, 0.666, 0.208], [0.015, 0.533, 0.831], [0.750, 0.943, 0.597], [0.591, 0.333, 0.287], [0.250, 0.351, 0.653], [0.017, 0.030, 0.173], [0.015, 0.967, 0.331], [0.250, 0.057, 0.403], [0.908, 0.834, 0.708], [0.483, 0.030, 0.173], [0.250, 0.945, 0.101], [0.250, 0.845, 0.353], [0.985, 0.033, 0.669], [0.592, 0.834, 0.708], [0.909, 0.333, 0.287], [0.409, 0.833, 0.213], [0.515, 0.467, 0.169], [0.591, 0.167, 0.787], [0.750, 0.345, 0.147], [0.750, 0.445, 0.399], [0.750, 0.649, 0.347], [0.483, 0.470, 0.673], [0.983, 0.530, 0.327], [0.408, 0.334, 0.792], [0.517, 0.970, 0.827], [0.091, 0.833, 0.213], [0.908, 0.666, 0.208], [0.250, 0.555, 0.601], [0.250, 0.655, 0.853], [0.250, 0.149, 0.153], [0.517, 0.530, 0.327], [0.750, 0.155, 0.647], [0.408, 0.166, 0.292], [0.485, 0.533, 0.831], [0.017, 0.470, 0.673], [0.485, 0.967, 0.331], [0.515, 0.033, 0.669], [0.250, 0.899, 0.915], [0.750, 0.632, 0.918], [0.250, 0.132, 0.582], [0.250, 0.368, 0.082], [0.750, 0.868, 0.418], [0.750, 0.101, 0.085], [0.750, 0.399, 0.585], [0.250, 0.601, 0.415], [0.250, 0.659, 0.071], [0.750, 0.341, 0.929], [0.250, 0.841, 0.571], [0.750, 0.159, 0.429]],
  "spacegroup": "Pnma, No. 62",
  "energy_ev_per_atom": -7.459
}

# 6
{
  "formula": "Mg6BW",
  "functional": "r2SCAN",
  "state": "optimized geometry",
  "cell": [[4.521, 0.000, 0.000], [0.000, 5.836, 0.000], [0.000, 0.000, 11.339]],
  "species": ["Mg", "Mg", "Mg", "Mg", "Mg", "Mg", "Mg", "Mg", "Mg", "Mg", "Mg", "Mg", "W", "W", "B", "B"],
  "fractional_positions": [[0.000, 0.256, 0.072], [0.500, 0.765, 0.910], [0.500, 0.500, 0.679], [0.500, 0.735, 0.410], [0.000, 0.500, 0.828], [0.500, 0.265, 0.410], [0.000, 0.756, 0.572], [0.000, 0.244, 0.572], [0.000, 0.000, 0.328], [0.000, 0.744, 0.072], [0.500, 0.000, 0.179], [0.500, 0.235, 0.910], [0.000, 0.000, 0.788], [0.000, 0.500, 0.288], [0.500, 0.000, 0.741], [0.500, 0.500, 0.241]],
  "energy_ev_per_atom": -9.968
}

# 7
{
  "formula": "MnB4",
  "functional": "r2SCAN",
  "state": "optimized geometry",
  "cell": [[-5.198, 1.156, 0.116], [1.148, 4.978, 1.816], [-0.223, -0.461, -5.431]],
  "species": ["B", "B", "B", "B", "B", "B", "B", "B", "B", "B", "B", "B", "B", "B", "B", "B", "Mn", "Mn", "Mn", "Mn"],
  "fractional_positions": [[0.687, 0.635, 0.862], [0.130, 0.671, 0.324], [0.871, 0.837, 0.158], [0.681, 0.129, 0.374], [0.319, 0.871, 0.626], [0.630, 0.329, 0.176], [0.371, 0.163, 0.342], [0.870, 0.329, 0.676], [0.313, 0.365, 0.138], [0.129, 0.163, 0.842], [0.629, 0.837, 0.658], [0.813, 0.635, 0.362], [0.370, 0.671, 0.824], [0.819, 0.129, 0.874], [0.181, 0.871, 0.126], [0.187, 0.365, 0.638], [0.001, 0.729, 0.722], [0.499, 0.729, 0.222], [0.501, 0.271, 0.778], [0.999, 0.271, 0.278]],
  "spacegroup": "P2_1/c, No. 14",
  "energy_ev_per_atom": -9.063
}

# 8
{
  "formula": "MnB4",
  "functional": "r2SCAN",
  "state": "optimized geometry",
  "cell": [[0.000, 0.000, 2.937], [4.593, 0.000, 0.000], [0.000, 5.332, 0.000]],
  "species": ["B", "B", "B", "B", "B", "B", "B", "B", "Mn", "Mn"],
  "fractional_positions": [[0.000, 0.236, 0.316], [0.000, 0.165, 0.630], [0.500, 0.264, 0.816], [0.000, 0.764, 0.684], [0.500, 0.335, 0.130], [0.500, 0.736, 0.184], [0.000, 0.835, 0.370], [0.500, 0.665, 0.870], [0.000, 0.000, 0.000], [0.500, 0.500, 0.500]],
  "spacegroup": "Pnnm, No. 58",
  "energy_ev_per_atom": -9.069
}

# 9
{
  "formula": "MnB4",
  "functional": "r2SCAN",
  "state": "optimized geometry",
  "cell": [[2.723, 0.006, 1.129], [1.552, 3.496, 0.087], [0.009, 0.007, 3.826]],
  "species": ["B", "B", "B", "B", "Mn"],
  "fractional_positions": [[0.203, 0.137, 0.456], [0.797, 0.863, 0.544], [0.797, 0.544, 0.863], [0.203, 0.456, 0.137], [0.000, 0.000, 0.000]],
  "spacegroup": "Immm, No. 71",
  "energy_ev_per_atom": -9.056
}

# 10
{
  "formula": "MnB2",
  "functional": "r2SCAN",
  "state": "optimized geometry",
  "cell": [[2.990, 0.000, 0.000], [-1.495, 2.589, 0.000], [0.000, 0.000, 3.098]],
  "species": ["B", "B", "Mn"],
  "fractional_positions": [[0.333, 0.667, 0.500], [0.667, 0.333, 0.500], [0.000, 0.000, 0.000]],
  "spacegroup": "P6/mmm, No. 191",
  "energy_ev_per_atom": -10.099
}

# 11
{
  "formula": "SmMnB4",
  "functional": "r2SCAN",
  "state": "optimized geometry",
  "cell": [[3.468, 0.000, 0.000], [0.000, 6.017, 0.000], [0.000, 0.000, 11.654]],
  "species": ["B", "B", "B", "B", "B", "B", "B", "B", "B", "B", "B", "B", "B", "B", "B", "B", "Sm", "Sm", "Sm", "Sm", "Mn", "Mn", "Mn", "Mn"],
  "fractional_positions": [[0.500, 0.720, 0.684], [0.500, 0.141, 0.967], [0.500, 0.977, 0.311], [0.500, 0.220, 0.816], [0.500, 0.280, 0.316], [0.500, 0.359, 0.467], [0.500, 0.888, 0.454], [0.500, 0.388, 0.046], [0.500, 0.641, 0.533], [0.500, 0.112, 0.546], [0.500, 0.859, 0.033], [0.500, 0.612, 0.954], [0.500, 0.780, 0.184], [0.500, 0.477, 0.189], [0.500, 0.523, 0.811], [0.500, 0.023, 0.689], [0.000, 0.874, 0.849], [0.000, 0.126, 0.151], [0.000, 0.374, 0.651], [0.000, 0.626, 0.349], [0.000, 0.631, 0.086], [0.000, 0.869, 0.586], [0.000, 0.131, 0.414], [0.000, 0.369, 0.914]],
  "spacegroup": "Pbam, No. 55",
  "energy_ev_per_atom": -12.896
}